! HoTh3 r2SCAN optimized geometry; values from VASP
&SYSTEM
  ibrav = 0, nat = 4, ntyp = 2
/
ATOMIC_SPECIES
Th 232.04 Th.upf
Ho 164.93 Ho.upf
CELL_PARAMETERS angstrom
-0.880 -4.746 -1.464
1.173 -1.643 4.622
-4.826 0.466 1.391
ATOMIC_POSITIONS crystal
Th 0.000 0.500 0.500
Th 0.500 0.000 0.500
Th 0.500 0.500 0.000
Ho 0.000 0.000 0.000
! Formation energy (eV/atom): 0.047
! Calculated density (g/cm3): 11.14
! Space-group type: Pm-3m, No. 221

=====

! AcHgTe2 r2SCAN optimized geometry; values from VASP
&SYSTEM
  ibrav = 0, nat = 4, ntyp = 3
/
ATOMIC_SPECIES
Hg 200.59 Hg.upf
Te 127.60 Te.upf
Ac 227.00 Ac.upf
CELL_PARAMETERS angstrom
0.000 4.016 4.016
4.016 0.000 4.016
4.016 4.016 0.000
ATOMIC_POSITIONS crystal
Hg 0.000 0.000 0.000
Te 0.250 0.250 0.250
Te 0.750 0.750 0.750
Ac 0.500 0.500 0.500
! Formation energy (eV/atom): -0.988
! Calculated density (g/cm3): 8.75
! Space-group type: Fm-3m, No. 225

=====

! U2Al9Ir3 r2SCAN optimized geometry; values from VASP
&SYSTEM
  ibrav = 0, nat = 28, ntyp = 3
/
ATOMIC_SPECIES
Al 26.98 Al.upf
U 238.03 U.upf
Ir 192.22 Ir.upf
CELL_PARAMETERS angstrom
1.108 6.812 -3.091
-6.725 -3.367 -0.796
-2.973 4.070 7.903
ATOMIC_POSITIONS crystal
Al 0.004 0.336 0.573
Al 0.336 0.004 0.573
Al 0.341 0.548 0.750
Al 0.868 0.868 0.250
Al 0.452 0.659 0.250
Al 0.996 0.664 0.427
Al 0.548 0.341 0.750
Al 0.004 0.336 0.927
Al 0.665 0.665 0.551
Al 0.996 0.664 0.073
Al 0.336 0.004 0.927
Al 0.664 0.996 0.427
Al 0.335 0.335 0.449
Al 0.659 0.452 0.250
Al 0.664 0.996 0.073
Al 0.132 0.132 0.750
Al 0.665 0.665 0.949
Al 0.335 0.335 0.051
U 0.670 0.993 0.750
U 0.993 0.670 0.750
U 0.330 0.007 0.250
U 0.007 0.330 0.250
Ir 0.327 0.673 0.500
Ir 0.000 0.000 0.000
Ir 0.673 0.327 0.500
Ir 0.000 0.000 0.500
Ir 0.673 0.327 0.000
Ir 0.327 0.673 0.000
! Formation energy (eV/atom): -0.798
! Calculated density (g/cm3): 9.20
! Space-group type: Cmcm, No. 63